No. 1
Here is crystalline Na10ScTa7Si12O48 at its relaxed geometry from Materials Project. Energies are from PBE.

Values from the calculation:
MP2020-corrected energy	-8.325	eV/atom

Cell: 18.0834 9.0522 22.4893 Å, 90.00 90.02 120.05°
With the nearest neighbours (Å) after each atom.
Positions (direct):
Na1 0.8150 0.0120 0.2461  5 O 2.36-2.58
Na2 0.1841 0.3669 0.2487  5 O 2.39-2.61
Na3 0.6889 0.3657 0.2452  4 O 2.35-2.46
Na4 0.9939 0.6177 0.2461  5 O 2.37-2.60
Na5 0.3156 0.6187 0.7471  5 O 2.38-2.64
Na6 0.8161 0.6190 0.7463  5 O 2.37-2.64
Na7 0.9932 0.3668 0.7460  5 O 2.38-2.65
Na8 0.4931 0.3659 0.7461  4 O 2.37-2.47
Na9 0.1905 0.0137 0.7475  5 O 2.37-2.65
Na10 0.6906 0.0142 0.7467  5 O 2.37-2.65
Na11 0.1548 0.3389 0.5847  5 O 2.42-2.69
Na12 0.6563 0.3388 0.5839  4 O 2.42-2.65
Na13 0.3330 0.9742 0.5840  6 O 2.43-2.69
Na14 0.8336 0.9769 0.5836  5 O 2.43-2.70
Na15 0.6528 0.9706 0.0855  5 O 2.40-2.62
Na16 0.8314 0.6892 0.0839  4 O 2.42-2.64
Na17 0.0158 0.3379 0.0827  5 O 2.42-2.66
Na18 0.4836 0.2998 0.4167  5 O 2.39-2.63
Na19 0.9998 0.9880 0.4963  6 O 2.46-2.67
Na20 0.5018 0.9792 0.4977  5 O 2.38-2.61
Na21 0.0072 0.9997 0.9967  6 O 2.42-2.67
Na22 0.4932 0.0009 0.9993  6 O 2.51-2.64
Na23 0.3327 0.3328 0.8346  6 O 2.50-2.55
Na24 0.8336 0.3332 0.8335  6 O 2.49-2.59
Na25 0.3332 0.3334 0.3318  6 O 2.51-2.60
Na26 0.8327 0.3318 0.3323  6 O 2.48-2.60
Na27 0.1786 0.6928 0.1633  5 O 2.38-2.64
Na28 0.6538 0.6507 0.1657  6 O 2.45-2.71
Na29 0.1601 0.6668 0.6650  6 O 2.50-2.67
Na30 0.6604 0.6674 0.6647  6 O 2.50-2.69
Sc1 0.3341 0.3338 0.6863  6 O 2.05-2.17
Sc2 0.8341 0.3343 0.6860  6 O 2.05-2.18
Sc3 0.8325 0.3330 0.1861  6 O 2.06-2.18
Ta1 0.0010 0.0014 0.3573  6 O 1.95-2.01
Ta2 0.4982 0.9955 0.3555  6 O 1.92-2.06
Ta3 0.0000 0.0011 0.8588  6 O 1.96-2.01
Ta4 0.5001 0.9993 0.8586  6 O 1.97-2.00
Ta5 0.9998 0.9965 0.6445  6 O 1.94-2.05
Ta6 0.5004 0.9977 0.6445  6 O 1.94-2.05
Ta7 0.0032 0.0008 0.1442  6 O 1.94-2.06
Ta8 0.4966 0.9979 0.1435  6 O 1.94-2.05
Ta9 0.3365 0.3341 0.1882  6 O 1.93-2.08
Ta10 0.3327 0.3328 0.9766  6 O 1.96-2.02
Ta11 0.8336 0.3341 0.9777  6 O 1.98-2.01
Ta12 0.3308 0.3354 0.4786  6 O 1.94-2.05
Ta13 0.8344 0.3338 0.4773  6 O 1.97-2.02
Ta14 0.1707 0.6735 0.0213  6 O 1.93-2.07
Ta15 0.6628 0.6600 0.0194  6 O 1.91-2.06
Ta16 0.1648 0.6662 0.5184  6 O 1.91-2.05
Ta17 0.6658 0.6683 0.5186  6 O 1.93-2.03
Ta18 0.1695 0.6715 0.3119  6 O 1.92-2.07
Ta19 0.6644 0.6659 0.3115  6 O 1.94-2.06
Ta20 0.1668 0.6662 0.8139  6 O 1.93-2.07
Ta21 0.6668 0.6666 0.8139  6 O 1.94-2.07
Si1 0.1447 0.9999 0.2512  4 O 1.63-1.66
Si2 0.6415 0.9960 0.2492  4 O 1.63-1.65
Si3 0.3565 0.7119 0.2500  4 O 1.63-1.65
Si4 0.8564 0.7147 0.2505  4 O 1.62-1.66
Si5 0.0008 0.2887 0.2508  4 O 1.62-1.66
Si6 0.4985 0.2844 0.2512  4 O 1.63-1.66
Si7 0.1423 0.2877 0.7508  4 O 1.62-1.67
Si8 0.6427 0.2881 0.7509  4 O 1.62-1.67
Si9 0.0013 0.7150 0.7522  4 O 1.62-1.67
Si10 0.5014 0.7148 0.7518  4 O 1.62-1.67
Si11 0.3558 0.9971 0.7511  4 O 1.62-1.67
Si12 0.8558 0.9977 0.7512  4 O 1.62-1.67
Si13 0.4798 0.3368 0.5842  4 O 1.61-1.67
Si14 0.9795 0.3367 0.5853  4 O 1.62-1.67
Si15 0.1874 0.0397 0.5850  4 O 1.62-1.66
Si16 0.6885 0.0424 0.5844  4 O 1.62-1.65
Si17 0.3339 0.6255 0.5845  4 O 1.62-1.65
Si18 0.8342 0.6234 0.5836  4 O 1.62-1.66
Si19 0.4760 0.6209 0.0821  4 O 1.62-1.66
Si20 0.9795 0.6234 0.0845  4 O 1.63-1.66
Si21 0.3333 0.0487 0.0826  4 O 1.62-1.64
Si22 0.8328 0.0420 0.0844  4 O 1.62-1.66
Si23 0.1919 0.3371 0.0841  4 O 1.63-1.67
Si24 0.6870 0.3321 0.0843  4 O 1.63-1.65
Si25 0.3116 0.6645 0.9164  4 O 1.63-1.66
Si26 0.8113 0.6655 0.9175  4 O 1.63-1.66
Si27 0.0225 0.3793 0.9186  4 O 1.63-1.66
Si28 0.5194 0.3750 0.9151  4 O 1.62-1.66
Si29 0.1674 0.9565 0.9165  4 O 1.63-1.66
Si30 0.6674 0.9578 0.9174  4 O 1.63-1.66
Si31 0.3115 0.9582 0.4175  4 O 1.63-1.64
Si32 0.8116 0.9566 0.4157  4 O 1.63-1.65
Si33 0.1669 0.3772 0.4158  4 O 1.63-1.65
Si34 0.6688 0.3774 0.4151  4 O 1.63-1.65
Si35 0.0214 0.6645 0.4142  4 O 1.63-1.64
Si36 0.5210 0.6686 0.4165  4 O 1.63-1.65
O1 0.0991 0.0310 0.3083  1 Si 1.63
O2 0.5896 0.0184 0.3053  1 Si 1.65
O3 0.4135 0.8080 0.3088  1 Si 1.63
O4 0.9195 0.8173 0.3060  1 Si 1.63
O5 0.4863 0.1745 0.3120  1 Si 1.64
O6 0.9915 0.1665 0.3069  1 Si 1.63
O7 0.0920 0.1645 0.8066  1 Si 1.62
O8 0.5921 0.1639 0.8066  1 Si 1.62
O9 0.4897 0.8121 0.8084  1 Si 1.62
O10 0.9897 0.8134 0.8085  1 Si 1.62
O11 0.4178 0.0189 0.8067  1 Si 1.62
O12 0.9173 0.0188 0.8070  1 Si 1.62
O13 0.4003 0.9692 0.6903  1 Si 1.67
O14 0.9001 0.9691 0.6905  1 Si 1.67
O15 0.0837 0.2002 0.6901  1 Si 1.67
O16 0.5838 0.2009 0.6901  1 Si 1.67
O17 0.0159 0.8386 0.6933  1 Si 1.67
O18 0.5160 0.8390 0.6932  1 Si 1.67
O19 0.4036 0.8302 0.1921  1 Si 1.63
O20 0.9010 0.8337 0.1905  1 Si 1.66
O21 0.0157 0.1986 0.1910  1 Si 1.66
O22 0.5148 0.1894 0.1948  1 Si 1.64
O23 0.0818 0.9677 0.1932  1 Si 1.66
O24 0.5866 0.9747 0.1887  1 Si 1.64
O25 0.4421 0.3654 0.6454  1 Si 1.61
O26 0.9439 0.3666 0.6474  1 Si 1.62
O27 0.2437 0.1097 0.6453  1 Si 1.62
O28 0.7438 0.1097 0.6453  1 Si 1.62
O29 0.3109 0.5104 0.6442  1 Si 1.62
O30 0.8107 0.5111 0.6442  1 Si 1.62
O31 0.4293 0.5031 0.1411  1 Si 1.65
O32 0.9435 0.5115 0.1452  1 Si 1.63
O33 0.3213 0.1429 0.1413  1 Si 1.64
O34 0.8109 0.1107 0.1448  1 Si 1.62
O35 0.2468 0.3579 0.1448  1 Si 1.64
O36 0.7437 0.3786 0.1449  1 Si 1.63
O37 0.2387 0.3103 0.0268  1 Si 1.63
O38 0.7376 0.3019 0.0291  1 Si 1.64
O39 0.4174 0.5255 0.0245  1 Si 1.62
O40 0.9134 0.5270 0.0290  1 Si 1.64
O41 0.3459 0.1664 0.0247  1 Si 1.62
O42 0.8499 0.1740 0.0292  1 Si 1.64
O43 0.2378 0.1702 0.5289  1 Si 1.66
O44 0.7373 0.1723 0.5287  1 Si 1.64
O45 0.3456 0.5240 0.5278  1 Si 1.65
O46 0.8458 0.5225 0.5274  1 Si 1.63
O47 0.4172 0.3050 0.5263  1 Si 1.65
O48 0.9137 0.3024 0.5298  1 Si 1.64
O49 0.2622 0.6872 0.9731  1 Si 1.63
O50 0.7628 0.6875 0.9752  1 Si 1.63
O51 0.0809 0.4710 0.9772  1 Si 1.63
O52 0.5810 0.4771 0.9715  1 Si 1.63
O53 0.1568 0.8338 0.9726  1 Si 1.63
O54 0.6557 0.8408 0.9760  1 Si 1.64
O55 0.2664 0.8441 0.4766  1 Si 1.63
O56 0.7645 0.8391 0.4743  1 Si 1.64
O57 0.1579 0.4727 0.4748  1 Si 1.64
O58 0.6535 0.4705 0.4729  1 Si 1.65
O59 0.0829 0.6864 0.4710  1 Si 1.64
O60 0.5808 0.6896 0.4739  1 Si 1.63
O61 0.0680 0.6415 0.3549  1 Si 1.64
O62 0.5688 0.6370 0.3596  1 Si 1.65
O63 0.2508 0.8574 0.3601  1 Si 1.64
O64 0.7514 0.8593 0.3573  1 Si 1.65
O65 0.1782 0.4945 0.3569  1 Si 1.64
O66 0.6784 0.4940 0.3563  1 Si 1.65
O67 0.0700 0.4966 0.8587  1 Si 1.66
O68 0.5677 0.4925 0.8557  1 Si 1.66
O69 0.1784 0.8630 0.8563  1 Si 1.66
O70 0.6783 0.8607 0.8581  1 Si 1.66
O71 0.2534 0.6426 0.8562  1 Si 1.66
O72 0.7524 0.6432 0.8578  1 Si 1.66
O73 0.0136 0.8359 0.4100  1 Si 1.63
O74 0.5114 0.8372 0.4116  1 Si 1.63
O75 0.4078 0.9841 0.4125  1 Si 1.64
O76 0.9058 0.9739 0.4102  1 Si 1.63
O77 0.0818 0.1887 0.4118  1 Si 1.63
O78 0.5799 0.1918 0.4104  1 Si 1.65
O79 0.0133 0.1907 0.9114  1 Si 1.64
O80 0.5128 0.1888 0.9110  1 Si 1.63
O81 0.0818 0.9738 0.9114  1 Si 1.63
O82 0.5820 0.9747 0.9112  1 Si 1.63
O83 0.4052 0.8366 0.9112  1 Si 1.63
O84 0.9051 0.8371 0.9118  1 Si 1.63
O85 0.4873 0.1604 0.5874  1 Si 1.67
O86 0.9875 0.1610 0.5881  1 Si 1.67
O87 0.0949 0.0330 0.5880  1 Si 1.64
O88 0.5950 0.0326 0.5884  1 Si 1.65
O89 0.4180 0.8184 0.5875  1 Si 1.65
O90 0.9176 0.8180 0.5878  1 Si 1.65
O91 0.4893 0.8138 0.0886  1 Si 1.65
O92 0.9848 0.8113 0.0887  1 Si 1.66
O93 0.4183 0.0288 0.0906  1 Si 1.64
O94 0.9202 0.0262 0.0881  1 Si 1.66
O95 0.0945 0.1672 0.0903  1 Si 1.67
O96 0.5937 0.1563 0.0877  1 Si 1.64
O97 0.3448 0.1640 0.7495  1 Si 1.62
O98 0.8446 0.1640 0.7499  1 Si 1.62
O99 0.2368 0.3094 0.7486  1 Si 1.62
O100 0.7370 0.3095 0.7488  1 Si 1.62
O101 0.4177 0.5264 0.7486  1 Si 1.62
O102 0.9175 0.5267 0.7490  1 Si 1.62
O103 0.3424 0.5184 0.2456  1 Si 1.64
O104 0.8461 0.5268 0.2493  1 Si 1.62
O105 0.4154 0.3090 0.2446  1 Si 1.63
O106 0.9164 0.3069 0.2495  1 Si 1.62
O107 0.2376 0.1731 0.2446  1 Si 1.63
O108 0.7358 0.1658 0.2495  1 Si 1.63
O109 0.3191 0.4931 0.9214  1 Si 1.63
O110 0.8188 0.4937 0.9234  1 Si 1.63
O111 0.4264 0.3595 0.9208  1 Si 1.62
O112 0.9287 0.3638 0.9239  1 Si 1.64
O113 0.2524 0.1443 0.9219  1 Si 1.63
O114 0.7537 0.1447 0.9233  1 Si 1.63
O115 0.3236 0.1502 0.4226  1 Si 1.64
O116 0.8193 0.1435 0.4234  1 Si 1.64
O117 0.2533 0.3606 0.4222  1 Si 1.65
O118 0.7530 0.3578 0.4221  1 Si 1.63
O119 0.4290 0.4915 0.4231  1 Si 1.64
O120 0.9281 0.4929 0.4230  1 Si 1.64
O121 0.1763 0.5010 0.0788  1 Si 1.65
O122 0.6765 0.5006 0.0735  1 Si 1.65
O123 0.0735 0.6432 0.0742  1 Si 1.64
O124 0.5739 0.6501 0.0778  1 Si 1.66
O125 0.2490 0.8574 0.0775  1 Si 1.64
O126 0.7503 0.8487 0.0745  1 Si 1.65
O127 0.1767 0.8514 0.5740  1 Si 1.64
O128 0.6779 0.8530 0.5737  1 Si 1.64
O129 0.2510 0.6525 0.5742  1 Si 1.65
O130 0.7511 0.6512 0.5729  1 Si 1.66
O131 0.0778 0.4951 0.5752  1 Si 1.65
O132 0.5784 0.4948 0.5752  1 Si 1.65
O133 0.1500 0.8242 0.2554  1 Si 1.64
O134 0.6516 0.8252 0.2559  1 Si 1.65
O135 0.2600 0.6882 0.2556  1 Si 1.65
O136 0.7616 0.7012 0.2551  1 Si 1.66
O137 0.0887 0.4775 0.2551  1 Si 1.65
O138 0.5878 0.4716 0.2556  1 Si 1.66
O139 0.1477 0.4757 0.7549  1 Si 1.66
O140 0.6485 0.4764 0.7550  1 Si 1.66
O141 0.0893 0.7025 0.7549  1 Si 1.65
O142 0.5899 0.7040 0.7547  1 Si 1.65
O143 0.2617 0.8200 0.7547  1 Si 1.66
O144 0.7617 0.8201 0.7550  1 Si 1.66

---

No. 2
Here is crystalline B4Os at its relaxed geometry from Materials Project. Energies are from PBE.

Values from the calculation:
total energy	-6.9341	eV per atom

Cell: 5.3424 5.3424 6.4511 Å, 90.00 90.00 120.00°
With the nearest neighbours (Å) after each atom.
Positions (direct):
B1 0.3346 0.3346 0.5000  5 B 1.77-1.93
B2 0.6654 0.0000 0.5000  5 B 1.77-1.93
B3 0.0000 0.6654 0.5000  5 B 1.77-1.93
B4 0.6654 0.6654 0.5000  5 B 1.77-1.93
B5 0.0000 0.3346 0.5000  5 B 1.77-1.93
B6 0.3346 0.0000 0.5000  5 B 1.77-1.93
B7 0.6654 0.6654 0.0000  5 B 1.77-1.93
B8 0.3346 0.0000 0.0000  5 B 1.77-1.93
B9 0.0000 0.3346 0.0000  5 B 1.77-1.93
B10 0.3346 0.3346 0.0000  5 B 1.77-1.93
B11 0.0000 0.6654 0.0000  5 B 1.77-1.93
B12 0.6654 0.0000 0.0000  5 B 1.77-1.93
B13 0.3333 0.6667 0.8837  7 B 1.73-1.93
B14 0.6667 0.3333 0.1163  7 B 1.73-1.93
B15 0.6667 0.3333 0.3837  7 B 1.73-1.93
B16 0.3333 0.6667 0.6163  7 B 1.73-1.93
Os1 0.3333 0.6667 0.2500  14 B 2.36-2.40
Os2 0.6667 0.3333 0.7500  14 B 2.36-2.40
Os3 0.0000 0.0000 0.2500  12 B 2.41
Os4 0.0000 0.0000 0.7500  12 B 2.41

---

No. 3
Here is crystalline CrP at its relaxed geometry from Materials Project. Energies are from PBE.

Values from the calculation:
total energy	-8.0718	eV per atom

Cell: 3.0632 5.3346 5.9482 Å, 90.00 90.00 90.00°
With the nearest neighbours (Å) after each atom.
Positions (direct):
Cr1 0.2500 0.5089 0.6901  6 P 2.31-2.41
Cr2 0.7500 0.4911 0.3099  6 P 2.31-2.41
Cr3 0.2500 0.0089 0.8099  6 P 2.31-2.41
Cr4 0.7500 0.9911 0.1901  6 P 2.31-2.41
P1 0.2500 0.6827 0.0644  6 Cr 2.31-2.41
P2 0.7500 0.3173 0.9356  6 Cr 2.31-2.41
P3 0.2500 0.1827 0.4356  6 Cr 2.31-2.41
P4 0.7500 0.8173 0.5644  6 Cr 2.31-2.41

---

No. 4
Here is crystalline Sr2CeBiO6 at its relaxed geometry from Materials Project. Energies are from PBE.

Values from the calculation:
MP2020-corrected energy	-7.205	eV/atom

Cell: 6.0322 6.2294 8.6566 Å, 89.98 89.91 90.00°
With the nearest neighbours (Å) after each atom.
Positions (direct):
Sr1 0.5137 0.5507 0.2501  4 O 2.54-2.63
Sr2 0.9864 0.0507 0.2500  4 O 2.54-2.63
Sr3 0.4863 0.4493 0.7499  4 O 2.54-2.63
Sr4 0.0136 0.9493 0.7500  4 O 2.54-2.63
Ce1 0.5000 0.0000 0.0000  6 O 2.25-2.26
Ce2 0.0000 0.5000 0.5000  6 O 2.24-2.26
Bi1 0.0000 0.5000 0.0000  6 O 2.27-2.28
Bi2 0.5000 0.0000 0.5000  6 O 2.27-2.28
O1 0.2003 0.1999 0.9456  1 Ce 2.25, 1 Bi 2.27
O2 0.2995 0.6997 0.5545  1 Ce 2.24, 1 Bi 2.28
O3 0.7997 0.8001 0.0544  1 Ce 2.25, 1 Bi 2.27
O4 0.7005 0.3003 0.4455  1 Ce 2.24, 1 Bi 2.28
O5 0.3020 0.7024 0.9434  1 Ce 2.26, 1 Bi 2.27
O6 0.1979 0.2026 0.5567  1 Ce 2.26, 1 Bi 2.27
O7 0.6980 0.2976 0.0566  1 Ce 2.26, 1 Bi 2.27
O8 0.8021 0.7974 0.4433  1 Ce 2.26, 1 Bi 2.27
O9 0.3964 0.9579 0.2490  1 Ce 2.26, 1 Bi 2.28
O10 0.1035 0.4580 0.2508  1 Ce 2.26, 1 Bi 2.28
O11 0.6036 0.0421 0.7510  1 Ce 2.26, 1 Bi 2.28
O12 0.8965 0.5420 0.7492  1 Ce 2.26, 1 Bi 2.28